1.
{"formula": "Ce9Sb5O5", "functional": "GGA-PBE", "state": "optimized geometry", "space_group": "P4/n", "m_tot_mub_per_cell": 10.2, "crystal_system": "tetragonal", "vol_a3_per_cell": 954.60, "formation_energy_kj_per_mol_atoms": -214, "lattice": [[-3.5026, 0.0604, -9.5767], [7.0809, -6.8493, -2.6330], [-5.8049, -6.8009, 2.0802]], "species": ["Sb", "Sb", "Sb", "Sb", "Sb", "Sb", "Sb", "Sb", "Sb", "Sb", "O", "O", "O", "O", "O", "O", "O", "O", "O", "O", "Ce", "Ce", "Ce", "Ce", "Ce", "Ce", "Ce", "Ce", "Ce", "Ce", "Ce", "Ce", "Ce", "Ce", "Ce", "Ce", "Ce", "Ce"], "frac_coords": [[0.6969, 0.4027, 0.2984], [0.0973, 0.1969, 0.2984], [0.9027, 0.8031, 0.2984], [0.4027, 0.3031, 0.7016], [0.0000, 0.5000, 0.6920], [0.3031, 0.5973, 0.2984], [0.1969, 0.9027, 0.7016], [0.5973, 0.6969, 0.7016], [0.8031, 0.0973, 0.7016], [0.5000, 0.0000, 0.3080], [0.3777, 0.2772, 0.0940], [0.2772, 0.6223, 0.9060], [0.7228, 0.3777, 0.9060], [0.5000, 0.0000, 0.9238], [0.0000, 0.5000, 0.0762], [0.6223, 0.7228, 0.0940], [0.1223, 0.2228, 0.9060], [0.8777, 0.7772, 0.9060], [0.7772, 0.1223, 0.0940], [0.2228, 0.8777, 0.0940], [0.8962, 0.7968, 0.6563], [0.7032, 0.3962, 0.6563], [0.2968, 0.6038, 0.6563], [0.6038, 0.7032, 0.3437], [0.9196, 0.2735, 0.9991], [0.5000, 0.0000, 0.6703], [0.2032, 0.8962, 0.3437], [0.0804, 0.7265, 0.9991], [0.2735, 0.0804, 0.0009], [0.4196, 0.7735, 0.0009], [0.3962, 0.2968, 0.3437], [0.7735, 0.5804, 0.9991], [0.7968, 0.1038, 0.3437], [0.0000, 0.5000, 0.3297], [0.2265, 0.4196, 0.9991], [0.5804, 0.2265, 0.0009], [0.7265, 0.9196, 0.0009], [0.1038, 0.2032, 0.6563]]}

---

2.
{"formula": "HfMg6Mo", "functional": "GGA-PBE", "state": "optimized geometry", "m_tot_mub_per_cell": 0.0, "vol_a3_per_cell": 333.70, "formation_energy_kj_per_mol_atoms": 17, "lattice": [[-0.3030, 1.7658, -4.5624], [5.1179, -2.9803, -1.4934], [-6.0443, -8.8619, -3.0285]], "species": ["Mg", "Mg", "Mg", "Mg", "Mg", "Mg", "Mg", "Mg", "Mg", "Mg", "Mg", "Mg", "Hf", "Hf", "Mo", "Mo"], "frac_coords": [[0.5000, 0.5000, 0.6692], [0.0000, 0.7460, 0.0746], [0.0000, 0.7540, 0.5746], [0.5000, 0.2571, 0.4277], [0.5000, 0.0000, 0.1692], [0.5000, 0.2429, 0.9277], [0.0000, 0.0000, 0.3270], [0.0000, 0.5000, 0.8270], [0.5000, 0.7429, 0.4277], [0.0000, 0.2540, 0.0746], [0.5000, 0.7571, 0.9277], [0.0000, 0.2460, 0.5746], [0.5000, 0.0000, 0.6976], [0.5000, 0.5000, 0.1976], [0.0000, 0.5000, 0.3017], [0.0000, 0.0000, 0.8017]]}

---

3.
{"formula": "Cs2YCuBr6", "functional": "GGA-PBE", "state": "optimized geometry", "space_group": "Fm-3m", "m_tot_mub_per_cell": 0.0, "crystal_system": "cubic", "vol_a3_per_cell": 341.25, "formation_energy_kj_per_mol_atoms": -178, "lattice": [[0.0000, 5.5465, 5.5465], [5.5465, 0.0000, 5.5465], [5.5465, 5.5465, 0.0000]], "species": ["Y", "Cs", "Cs", "Br", "Br", "Br", "Br", "Br", "Br", "Cu"], "frac_coords": [[0.5000, 0.5000, 0.5000], [0.2500, 0.2500, 0.2500], [0.7500, 0.7500, 0.7500], [0.7538, 0.2462, 0.7538], [0.7538, 0.7538, 0.2462], [0.2462, 0.2462, 0.7538], [0.2462, 0.7538, 0.2462], [0.7538, 0.2462, 0.2462], [0.2462, 0.7538, 0.7538], [0.0000, 0.0000, 0.0000]]}

---

4.
{"formula": "DyH2", "functional": "GGA-PBE", "state": "optimized geometry", "space_group": "Fm-3m", "crystal_system": "cubic", "vol_a3_per_cell": 35.18, "formation_energy_kj_per_mol_atoms": -78, "lattice": [[-3.6096, -0.3956, -0.5840], [-2.1822, 2.9589, -0.0973], [-1.4778, 1.0911, -3.1862]], "species": ["Dy", "H", "H"], "frac_coords": [[0.0000, 0.0000, 0.0000], [0.7500, 0.7500, 0.7500], [0.2500, 0.2500, 0.2500]]}

---

5.
{"formula": "Er17Te3Ru6", "functional": "GGA-PBE", "state": "optimized geometry", "space_group": "C2/m", "m_tot_mub_per_cell": 0.1, "crystal_system": "monoclinic", "vol_a3_per_cell": 1302.53, "formation_energy_kj_per_mol_atoms": -57, "lattice": [[1.9973, 20.2165, 0.0000], [-1.9973, 20.2165, 0.0000], [0.0000, 1.4759, 16.1289]], "species": ["Er", "Er", "Er", "Er", "Er", "Er", "Er", "Er", "Er", "Er", "Er", "Er", "Er", "Er", "Er", "Er", "Er", "Er", "Er", "Er", "Er", "Er", "Er", "Er", "Er", "Er", "Er", "Er", "Er", "Er", "Er", "Er", "Er", "Er", "Te", "Te", "Te", "Te", "Te", "Te", "Ru", "Ru", "Ru", "Ru", "Ru", "Ru", "Ru", "Ru", "Ru", "Ru", "Ru", "Ru"], "frac_coords": [[0.4747, 0.4747, 0.3336], [0.9066, 0.9066, 0.7711], [0.1846, 0.1846, 0.2192], [0.7316, 0.7316, 0.5845], [0.0000, 0.0000, 0.5000], [0.1308, 0.1308, 0.4026], [0.7302, 0.7302, 0.0703], [0.8154, 0.8154, 0.7808], [0.4415, 0.4415, 0.1106], [0.4413, 0.4413, 0.6119], [0.6441, 0.6441, 0.0783], [0.4726, 0.4726, 0.8361], [0.2981, 0.2981, 0.1240], [0.0900, 0.0900, 0.7325], [0.8663, 0.8663, 0.0966], [0.5585, 0.5585, 0.8894], [0.2698, 0.2698, 0.9297], [0.5274, 0.5274, 0.1639], [0.5253, 0.5253, 0.6664], [0.6387, 0.6387, 0.5776], [0.9100, 0.9100, 0.2675], [0.8236, 0.8236, 0.2917], [0.2684, 0.2684, 0.4155], [0.5587, 0.5587, 0.3881], [0.3041, 0.3041, 0.6001], [0.1337, 0.1337, 0.9034], [0.7019, 0.7019, 0.8760], [0.3613, 0.3613, 0.4224], [0.6959, 0.6959, 0.3999], [0.1764, 0.1764, 0.7083], [0.0000, 0.0000, 0.0000], [0.8692, 0.8692, 0.5974], [0.3559, 0.3559, 0.9217], [0.0934, 0.0934, 0.2289], [0.9239, 0.9239, 0.9552], [0.0761, 0.0761, 0.0448], [0.7501, 0.7501, 0.2527], [0.0740, 0.0740, 0.5461], [0.2499, 0.2499, 0.7473], [0.9260, 0.9260, 0.4539], [0.0255, 0.0255, 0.3082], [0.3616, 0.3616, 0.7230], [0.9765, 0.9765, 0.1885], [0.9745, 0.9745, 0.6918], [0.1913, 0.1913, 0.0064], [0.8087, 0.8087, 0.9936], [0.6349, 0.6349, 0.7790], [0.1882, 0.1882, 0.5217], [0.3651, 0.3651, 0.2210], [0.6384, 0.6384, 0.2770], [0.8118, 0.8118, 0.4783], [0.0235, 0.0235, 0.8115]]}

---

6.
{"formula": "HoGeIr", "functional": "GGA-PBE", "state": "optimized geometry", "space_group": "Pnma", "crystal_system": "orthorhombic", "vol_a3_per_cell": 224.91, "formation_energy_kj_per_mol_atoms": -91, "lattice": [[4.3054, 0.0000, 0.0000], [0.0000, 6.8485, 0.0000], [0.0000, 0.0000, 7.6277]], "species": ["Ge", "Ge", "Ge", "Ge", "Ho", "Ho", "Ho", "Ho", "Ir", "Ir", "Ir", "Ir"], "frac_coords": [[0.2500, 0.2893, 0.6095], [0.2500, 0.7893, 0.8905], [0.7500, 0.2107, 0.1095], [0.7500, 0.7107, 0.3905], [0.2500, 0.5057, 0.1936], [0.2500, 0.0057, 0.3064], [0.7500, 0.4943, 0.8064], [0.7500, 0.9943, 0.6936], [0.7500, 0.8406, 0.0657], [0.2500, 0.1594, 0.9343], [0.2500, 0.6594, 0.5657], [0.7500, 0.3406, 0.4343]]}

---

7.
{"formula": "SrSn2Cl6O5", "functional": "GGA-PBE", "state": "optimized geometry", "space_group": "C2/c", "m_tot_mub_per_cell": 8.0, "crystal_system": "monoclinic", "vol_a3_per_cell": 838.56, "formation_energy_kj_per_mol_atoms": -83, "lattice": [[-8.0412, 4.7228, -2.8814], [1.1069, -8.5535, -4.5697], [-7.9192, -5.9284, 3.7090]], "species": ["Sn", "Sn", "Sn", "Sn", "O", "O", "O", "O", "O", "O", "O", "O", "O", "O", "Sr", "Sr", "Cl", "Cl", "Cl", "Cl", "Cl", "Cl", "Cl", "Cl", "Cl", "Cl", "Cl", "Cl"], "frac_coords": [[0.2023, 0.3755, 0.5950], [0.7977, 0.6245, 0.4050], [0.3755, 0.2023, 0.0950], [0.6245, 0.7977, 0.9050], [0.7530, 0.2470, 0.2500], [0.0699, 0.0111, 0.4815], [0.1796, 0.2076, 0.1668], [0.2076, 0.1796, 0.6668], [0.0111, 0.0699, 0.9815], [0.7924, 0.8204, 0.3332], [0.8204, 0.7924, 0.8332], [0.9889, 0.9301, 0.0185], [0.2470, 0.7530, 0.7500], [0.9301, 0.9889, 0.5185], [0.0950, 0.9050, 0.7500], [0.9050, 0.0950, 0.2500], [0.4110, 0.6110, 0.4194], [0.5890, 0.3890, 0.5806], [0.6110, 0.4110, 0.9194], [0.1413, 0.4677, 0.7833], [0.3890, 0.5890, 0.0806], [0.9999, 0.6735, 0.4996], [0.4677, 0.1413, 0.2833], [0.0001, 0.3265, 0.5004], [0.5323, 0.8587, 0.7167], [0.6735, 0.9999, 0.9996], [0.3265, 0.0001, 0.0004], [0.8587, 0.5323, 0.2167]]}

---

8.
{"formula": "TbGa2", "functional": "GGA-PBE", "state": "optimized geometry", "space_group": "P6/mmm", "crystal_system": "hexagonal", "vol_a3_per_cell": 63.84, "formation_energy_kj_per_mol_atoms": -63, "lattice": [[2.1110, -3.6564, 0.0000], [2.1110, 3.6564, 0.0000], [0.0000, 0.0000, 4.1354]], "species": ["Ga", "Ga", "Tb"], "frac_coords": [[0.6667, 0.3333, 0.5000], [0.3333, 0.6667, 0.5000], [0.0000, 0.0000, 0.0000]]}

---

9.
{"formula": "CeSe2", "functional": "GGA-PBE", "state": "optimized geometry", "space_group": "P-31m", "m_tot_mub_per_cell": 0.0, "crystal_system": "trigonal", "vol_a3_per_cell": 2339.39, "formation_energy_kj_per_mol_atoms": -137, "lattice": [[-5.8917, 2.5395, -4.0808], [0.0219, 16.0171, 9.9358], [10.3074, -1.3513, -15.7226]], "species": ["Se", "Se", "Se", "Se", "Se", "Se", "Se", "Se", "Se", "Se", "Se", "Se", "Se", "Se", "Se", "Se", "Se", "Se", "Se", "Se", "Se", "Se", "Se", "Se", "Ce", "Ce", "Ce", "Ce", "Ce", "Ce", "Ce", "Ce", "Ce", "Ce", "Ce", "Ce"], "frac_coords": [[0.0000, 0.1864, 0.8136], [0.3472, 0.3850, 0.3850], [0.3472, 0.6150, 0.0000], [0.5000, 0.2575, 0.5150], [0.5000, 0.5150, 0.2575], [0.6528, 0.0000, 0.3850], [0.0000, 0.4110, 0.5890], [0.6528, 0.3850, 0.0000], [0.5000, 0.2575, 0.7425], [0.3472, 0.0000, 0.6150], [0.0000, 0.3728, 0.1864], [0.0000, 0.4110, 0.8220], [0.0000, 0.8136, 0.1864], [0.0000, 0.1864, 0.3728], [0.0000, 0.5890, 0.4110], [0.5000, 0.7425, 0.2575], [0.0000, 0.1780, 0.5890], [0.5000, 0.4850, 0.7425], [0.0000, 0.8136, 0.6272], [0.0000, 0.6272, 0.8136], [0.6528, 0.6150, 0.6150], [0.5000, 0.7425, 0.4850], [0.0000, 0.8220, 0.4110], [0.0000, 0.5890, 0.1780], [0.7802, 0.1551, 0.4666], [0.7802, 0.6885, 0.5334], [0.7802, 0.8449, 0.3115], [0.2198, 0.1551, 0.6885], [0.7802, 0.5334, 0.6885], [0.7802, 0.3115, 0.8449], [0.2198, 0.6885, 0.1551], [0.7802, 0.4666, 0.1551], [0.2198, 0.3115, 0.4666], [0.2198, 0.5334, 0.8449], [0.2198, 0.8449, 0.5334], [0.2198, 0.4666, 0.3115]]}

---

10.
{"formula": "Na5GdO4", "functional": "GGA-PBE", "state": "optimized geometry", "space_group": "Pbca", "m_tot_mub_per_cell": 56.0, "crystal_system": "orthorhombic", "vol_a3_per_cell": 1318.05, "formation_energy_kj_per_mol_atoms": -200, "lattice": [[-9.2220, 5.7737, -0.0466], [-0.8508, -1.4465, -10.8653], [-5.7847, -9.2260, 1.6812]], "species": ["Na", "Na", "Na", "Na", "Na", "Na", "Na", "Na", "Na", "Na", "Na", "Na", "Na", "Na", "Na", "Na", "Na", "Na", "Na", "Na", "Na", "Na", "Na", "Na", "Na", "Na", "Na", "Na", "Na", "Na", "Na", "Na", "Na", "Na", "Na", "Na", "Na", "Na", "Na", "Na", "O", "O", "O", "O", "O", "O", "O", "O", "O", "O", "O", "O", "O", "O", "O", "O", "O", "O", "O", "O", "O", "O", "O", "O", "O", "O", "O", "O", "O", "O", "O", "O", "Gd", "Gd", "Gd", "Gd", "Gd", "Gd", "Gd", "Gd"], "frac_coords": [[0.8702, 0.1472, 0.6193], [0.0991, 0.3696, 0.6454], [0.3702, 0.3528, 0.6193], [0.3990, 0.6168, 0.6598], [0.6010, 0.8832, 0.1598], [0.6706, 0.1064, 0.3799], [0.0991, 0.8696, 0.8546], [0.4009, 0.3696, 0.1454], [0.3592, 0.6108, 0.4001], [0.1010, 0.6168, 0.1598], [0.8294, 0.6064, 0.6201], [0.5991, 0.1304, 0.6454], [0.8702, 0.6472, 0.8807], [0.6298, 0.6472, 0.3807], [0.6408, 0.8892, 0.9001], [0.3294, 0.8936, 0.6201], [0.9009, 0.1304, 0.1454], [0.1298, 0.3528, 0.1193], [0.8592, 0.3892, 0.0999], [0.1298, 0.8528, 0.3807], [0.4009, 0.8696, 0.3546], [0.3990, 0.1168, 0.8402], [0.8592, 0.8892, 0.4001], [0.6706, 0.6064, 0.1201], [0.9009, 0.6304, 0.3546], [0.6010, 0.3832, 0.3402], [0.1010, 0.1168, 0.3402], [0.3702, 0.8528, 0.8807], [0.8990, 0.8832, 0.6598], [0.1706, 0.3936, 0.3799], [0.3592, 0.1108, 0.0999], [0.6408, 0.3892, 0.5999], [0.8990, 0.3832, 0.8402], [0.1408, 0.1108, 0.5999], [0.3294, 0.3936, 0.8799], [0.8294, 0.1064, 0.8799], [0.5991, 0.6304, 0.8546], [0.6298, 0.1472, 0.1193], [0.1706, 0.8936, 0.1201], [0.1408, 0.6108, 0.9001], [0.2341, 0.2465, 0.7548], [0.9842, 0.7514, 0.5089], [0.9842, 0.2514, 0.9911], [0.0158, 0.2486, 0.4911], [0.9984, 0.9598, 0.2411], [0.4842, 0.7486, 0.5089], [0.2401, 0.0096, 0.9593], [0.2659, 0.2465, 0.2548], [0.2659, 0.7465, 0.2452], [0.0016, 0.0402, 0.7589], [0.5158, 0.2514, 0.4911], [0.5158, 0.7514, 0.0089], [0.7341, 0.2535, 0.7548], [0.2599, 0.0096, 0.4593], [0.4842, 0.2486, 0.9911], [0.4984, 0.5402, 0.2411], [0.7659, 0.2535, 0.2548], [0.2341, 0.7465, 0.7452], [0.7401, 0.4904, 0.9593], [0.7599, 0.9904, 0.0407], [0.7341, 0.7535, 0.7452], [0.2401, 0.5096, 0.5407], [0.7401, 0.9904, 0.5407], [0.0158, 0.7486, 0.0089], [0.7599, 0.4904, 0.4593], [0.7659, 0.7535, 0.2452], [0.5016, 0.9598, 0.7411], [0.9984, 0.4598, 0.2589], [0.2599, 0.5096, 0.0407], [0.0016, 0.5402, 0.7411], [0.4984, 0.0402, 0.2589], [0.5016, 0.4598, 0.7589], [0.6161, 0.8535, 0.6193], [0.3839, 0.1465, 0.3807], [0.6161, 0.3535, 0.8807], [0.1161, 0.1465, 0.8807], [0.8839, 0.3535, 0.3807], [0.8839, 0.8535, 0.1193], [0.3839, 0.6465, 0.1193], [0.1161, 0.6465, 0.6193]]}